Li2Mn3NbO8: relaxed, GGA+U.

Geometry as POSCAR:
```
Li2Mn3NbO8
1.0
6.0728 0.0000 0.0000
0.0000 5.8818 0.0000
-5.9630 0.0000 9.0005
Li Mn Nb O
4 6 2 16
direct
0.1127 0.0053 0.3666
0.1127 0.4947 0.8666
0.8873 0.5053 0.1334
0.8873 0.9947 0.6334
0.4969 0.7482 0.2482
0.4969 0.7518 0.7482
0.5000 0.0000 0.0000
0.5000 0.5000 0.5000
0.5031 0.2482 0.2518
0.5031 0.2518 0.7518
0.0000 0.0000 0.0000
0.0000 0.5000 0.5000
0.2233 0.7418 0.5005
0.2233 0.7582 0.0005
0.2541 0.2167 0.9956
0.2541 0.2833 0.4956
0.2627 0.0006 0.2330
0.2627 0.4994 0.7330
0.3094 0.0032 0.7726
0.3094 0.4968 0.2726
0.6906 0.5032 0.7274
0.6906 0.9968 0.2274
0.7373 0.5006 0.2670
0.7373 0.9994 0.7670
0.7459 0.7167 0.5044
0.7459 0.7833 0.0044
0.7767 0.2418 0.9995
0.7767 0.2582 0.4995
```

The value obtained for the offset from the most stable computed form is 0.0249 eV per atom. As for the symmetry: P2_1/c (14).


Li3Cr2P3O12: relaxed, GGA+U.

Geometry as POSCAR:
```
Li3Cr2P3O12
1.0
7.0644 -6.6188 0.0000
7.0644 6.6188 0.0000
-0.8184 0.0000 9.6529
Li Cr P O
12 8 12 48
direct
0.0416 0.6152 0.0076
0.1168 0.1168 0.0887
0.2137 0.3901 0.2502
0.3733 0.3001 0.5264
0.3848 0.9584 0.9924
0.3907 0.0984 0.2528
0.6099 0.7863 0.7498
0.6441 0.1059 0.4047
0.6999 0.6267 0.4736
0.8832 0.8832 0.9113
0.8941 0.3559 0.5953
0.9016 0.6093 0.7472
0.1251 0.8749 0.5000
0.1286 0.0951 0.7182
0.3427 0.6573 0.5000
0.4086 0.5914 0.0000
0.6254 0.1559 0.7833
0.6257 0.3743 0.0000
0.8441 0.3746 0.2167
0.9049 0.8714 0.2818
0.0275 0.5721 0.4205
0.0477 0.1758 0.4012
0.1992 0.7805 0.8022
0.2195 0.8008 0.1978
0.3243 0.2755 0.9256
0.4279 0.9725 0.5795
0.5281 0.4496 0.3034
0.5504 0.4719 0.6966
0.6992 0.0724 0.0974
0.7245 0.6757 0.0744
0.8242 0.9523 0.5988
0.9276 0.3008 0.9026
0.0434 0.0120 0.3699
0.0601 0.8048 0.1608
0.0615 0.2143 0.5596
0.0713 0.7169 0.8485
0.1663 0.2193 0.3205
0.1863 0.5345 0.4357
0.1952 0.9399 0.8392
0.2044 0.7458 0.6388
0.2542 0.7956 0.3612
0.2636 0.0028 0.5819
0.2656 0.2277 0.7802
0.2722 0.6587 0.1336
0.2831 0.9287 0.1515
0.2839 0.1893 0.0420
0.2871 0.4318 0.9524
0.3413 0.7278 0.8664
0.4068 0.5160 0.6292
0.4452 0.3317 0.3454
0.4655 0.8137 0.5643
0.4695 0.0607 0.4661
0.4840 0.5932 0.3708
0.4895 0.2446 0.9204
0.4936 0.0133 0.7253
0.4990 0.4572 0.1403
0.5428 0.5010 0.8597
0.5651 0.3131 0.6592
0.5682 0.7129 0.0476
0.5768 0.0353 0.1750
0.6683 0.5548 0.6546
0.6869 0.4349 0.3408
0.6901 0.0325 0.9385
0.7092 0.2365 0.1279
0.7554 0.5105 0.0796
0.7596 0.0968 0.6441
0.7635 0.2908 0.8721
0.7723 0.7344 0.2198
0.7807 0.8337 0.6795
0.7857 0.9385 0.4404
0.8107 0.7161 0.9580
0.8427 0.0060 0.1453
0.9032 0.2404 0.3559
0.9393 0.5305 0.5339
0.9647 0.4232 0.8250
0.9675 0.3099 0.0615
0.9867 0.5064 0.2747
0.9880 0.9566 0.6301
0.9940 0.1573 0.8547
0.9972 0.7364 0.4181
```

The value obtained for the offset from the most stable computed form is 0.0526 eV per atom. As for the symmetry: C2 (5).


La5Sm3Cr6Fe2O20: relaxed, GGA+U.

Geometry as POSCAR:
```
La5Sm3Cr6Fe2O20
1.0
11.0527 0.0000 0.0000
-0.0565 11.5148 0.0000
-5.4210 -5.7590 15.9484
La Sm Cr Fe O
20 12 24 8 80
direct
0.0000 0.0000 0.0000
0.0009 0.5030 0.0005
0.0021 0.0066 0.5049
0.1082 0.1089 0.2334
0.1186 0.6078 0.2367
0.2463 0.7423 0.9971
0.2485 0.2418 0.0023
0.2499 0.2473 0.5046
0.3658 0.8710 0.2335
0.3790 0.3688 0.7407
0.5007 0.0004 0.9997
0.5028 0.5039 0.0000
0.6153 0.1051 0.2321
0.6161 0.6082 0.2330
0.7413 0.2480 0.0013
0.7474 0.7381 0.0007
0.7550 0.7469 0.5075
0.7560 0.2466 0.5065
0.8629 0.8728 0.2343
0.8662 0.3668 0.2375
0.0039 0.5037 0.5061
0.1149 0.6113 0.7340
0.1182 0.1029 0.7331
0.2558 0.7418 0.5063
0.3603 0.3745 0.2336
0.3707 0.8690 0.7353
0.4987 0.0125 0.5118
0.4988 0.5065 0.5038
0.6191 0.6047 0.7315
0.6209 0.1124 0.7376
0.8687 0.3722 0.7361
0.8785 0.8707 0.7383
0.0534 0.3057 0.1190
0.0563 0.8058 0.6193
0.0559 0.8073 0.1222
0.0571 0.3102 0.6252
0.1879 0.4304 0.3710
0.1938 0.9291 0.8732
0.3024 0.0520 0.6181
0.3027 0.5569 0.6200
0.3040 0.0616 0.1240
0.3037 0.5581 0.1189
0.4319 0.1788 0.8681
0.4327 0.6808 0.8625
0.5509 0.3093 0.1236
0.5533 0.3065 0.6161
0.5545 0.8069 0.1204
0.5564 0.8102 0.6219
0.6949 0.4266 0.8676
0.7994 0.5584 0.6175
0.8016 0.0562 0.1148
0.8021 0.0578 0.6205
0.8088 0.5583 0.1238
0.9322 0.6811 0.8672
0.9353 0.1832 0.8672
0.9369 0.1823 0.3714
0.1869 0.4040 0.8648
0.2018 0.9152 0.3729
0.4423 0.7035 0.3733
0.4426 0.2037 0.3677
0.6904 0.4079 0.3712
0.6907 0.9076 0.8648
0.6952 0.9146 0.3760
0.9482 0.6989 0.3732
0.0854 0.4339 0.7598
0.0899 0.9231 0.7549
0.1085 0.4073 0.2452
0.1138 0.9106 0.2541
0.1358 0.7363 0.8639
0.1385 0.7474 0.3761
0.1441 0.2319 0.8637
0.1540 0.2331 0.3692
0.1647 0.4204 0.5941
0.1673 0.9113 0.5880
0.1701 0.4157 0.0983
0.1733 0.9216 0.1029
0.1927 0.6986 0.1465
0.1941 0.2009 0.1475
0.1951 0.1906 0.6431
0.1973 0.6975 0.6460
0.2046 0.5356 0.9754
0.2209 0.5380 0.4947
0.2322 0.0357 0.9995
0.2327 0.0330 0.4894
0.3395 0.0697 0.7411
0.3437 0.5698 0.7408
0.3491 0.5832 0.2643
0.3553 0.0859 0.2519
0.3738 0.3737 0.8702
0.3926 0.8844 0.3766
0.3978 0.8754 0.8655
0.4112 0.3836 0.3690
0.4125 0.9175 0.5898
0.4159 0.4251 0.5896
0.4188 0.4228 0.0987
0.4233 0.9345 0.1063
0.4377 0.1985 0.1485
0.4447 0.6943 0.1484
0.4457 0.6889 0.6473
0.4475 0.1769 0.6400
0.4488 0.6858 0.4793
0.4602 0.1859 0.4753
0.4705 0.6966 0.9850
0.4857 0.2061 0.9980
0.5844 0.9351 0.7609
0.5945 0.4153 0.2542
0.5959 0.4203 0.7488
0.6088 0.9250 0.2665
0.6314 0.7385 0.3718
0.6362 0.2360 0.3702
0.6361 0.2376 0.8655
0.6485 0.7325 0.8627
0.6624 0.9215 0.5901
0.6630 0.4211 0.5892
0.6691 0.9169 0.0947
0.6697 0.4206 0.1062
0.6885 0.2025 0.1459
0.6957 0.1979 0.6418
0.6968 0.6984 0.1484
0.6994 0.7042 0.6474
0.7105 0.5373 0.4876
0.7132 0.0357 0.9768
0.7186 0.5321 0.9888
0.7268 0.0324 0.4917
0.8387 0.0697 0.7428
0.8414 0.5724 0.7401
0.8562 0.0821 0.2497
0.8569 0.5782 0.2645
0.8769 0.3796 0.3767
0.8778 0.8782 0.8663
0.8818 0.8689 0.3709
0.9004 0.3759 0.8656
0.9144 0.4296 0.5921
0.9184 0.9270 0.5972
0.9212 0.4200 0.0981
0.9234 0.9201 0.0985
0.9411 0.1924 0.1410
0.9432 0.6877 0.6439
0.9458 0.1915 0.6512
0.9469 0.6964 0.1476
0.9576 0.6839 0.4803
0.9680 0.1970 0.4912
0.9865 0.7074 0.9966
0.9902 0.2011 0.9945
```

As for the symmetry: P1 (1).


| no. | formation enthalpy at 0 K (kJ per mole of atoms) |
| --- | --- |
| 1 | -225 |
| 2 | -252 |
| 3 | -271 |